Eu2ZnGa, optimized geometry, DFT PBE; symmetry = Fm-3m; VASP energy = -26.320 eV per cell; density = 6.9 Mg/m³; crystal system = cubic
1.0
0.000 3.761 3.761
3.761 0.000 3.761
3.761 3.761 0.000
Ga Eu Zn
1 2 1
Direct
0.500 0.500 0.500
0.250 0.250 0.250
0.750 0.750 0.750
0.000 0.000 0.000

=====

SrEuGdSbO6, optimized geometry, DFT PBE; symmetry = F-43m; E above lowest polymorph = 0.771 eV/f.u.; density = 6.8 Mg/m³; crystal system = cubic
1.0
0.000 -4.227 -4.227
4.227 0.000 -4.227
4.227 -4.227 0.000
O Eu Gd Sb Sr
6 1 1 1 1
Direct
0.736 0.736 0.264
0.264 0.736 0.264
0.264 0.264 0.736
0.736 0.264 0.264
0.264 0.736 0.736
0.736 0.264 0.736
0.750 0.750 0.750
0.000 0.000 0.000
0.500 0.500 0.500
0.250 0.250 0.250

=====

SrEuGdSbO6, optimized geometry, DFT PBE; symmetry = P-1; E above lowest polymorph = 0.000 eV/f.u.; density = 6.9 Mg/m³; crystal system = triclinic
1.0
-4.572 -0.901 3.566
-2.853 -2.931 -4.394
3.476 -7.195 2.558
O Gd Sr Sb Eu
12 2 2 2 2
Direct
0.722 0.310 0.449
0.685 0.281 0.050
0.315 0.719 0.950
0.777 0.808 0.048
0.813 0.778 0.450
0.278 0.690 0.551
0.903 0.524 0.733
0.589 0.029 0.767
0.187 0.222 0.550
0.223 0.192 0.952
0.411 0.971 0.233
0.097 0.476 0.267
0.000 0.500 0.000
0.500 0.000 0.500
0.987 0.047 0.251
0.013 0.953 0.749
0.500 0.000 0.000
0.000 0.500 0.500
0.487 0.452 0.752
0.513 0.548 0.248

=====

EuGdRh2, optimized geometry, DFT PBE; symmetry = Fm-3m; VASP energy = -41.327 eV per cell; density = 10.0 Mg/m³; crystal system = cubic
1.0
0.000 3.501 3.501
3.501 0.000 3.501
3.501 3.501 0.000
Rh Gd Eu
2 1 1
Direct
0.250 0.250 0.250
0.750 0.750 0.750
0.000 0.000 0.000
0.500 0.500 0.500